1.
Compound: HoCdPd2
Source: Materials Project
Functional: r2SCAN
Structure: optimized geometry

Calculated values
Uncorrected energy, eV/atom: -25.50
Magnetic moment, μB per formula unit: 0.0
E_form, meV/atom: -773

Unit cell a=4.744 b=4.744 c=4.744 alpha=60.00 beta=60.00 gamma=60.00
Element x y z (fractional)
Ho: 0.750 0.750 0.750
Pd: 0.500 0.500 0.500
Pd: 0.000 0.000 0.000
Cd: 0.250 0.250 0.250

***

2.
Compound: Sr4RhO6
Source: Materials Project
Functional: r2SCAN
Structure: optimized geometry

Calculated values
Uncorrected energy, eV/atom: -13.47
Magnetic moment, μB per formula unit: 1.0
E_form, meV/atom: -2509

Unit cell a=6.871 b=6.871 c=6.871 alpha=90.13 beta=90.13 gamma=90.13
Element x y z (fractional)
O: 0.784 0.442 0.572
O: 0.442 0.572 0.784
O: 0.572 0.784 0.442
O: 0.928 0.058 0.716
O: 0.072 0.942 0.284
O: 0.216 0.558 0.428
O: 0.558 0.428 0.216
O: 0.942 0.284 0.072
O: 0.058 0.716 0.928
O: 0.284 0.072 0.942
O: 0.716 0.928 0.058
O: 0.428 0.216 0.558
Sr: 0.117 0.383 0.750
Sr: 0.250 0.250 0.250
Sr: 0.750 0.750 0.750
Sr: 0.750 0.117 0.383
Sr: 0.617 0.250 0.883
Sr: 0.383 0.750 0.117
Sr: 0.250 0.883 0.617
Sr: 0.883 0.617 0.250
Rh: 0.500 0.500 0.500
Rh: 0.000 0.000 0.000

***

3.
Compound: Pr2Ti3Cl2O8
Source: Materials Project
Functional: r2SCAN
Structure: optimized geometry

Calculated values
Uncorrected energy, eV/atom: -13.85
Magnetic moment, μB per formula unit: 0.0
E_form, meV/atom: -3340

Unit cell a=5.050 b=11.678 c=14.838 alpha=90.00 beta=90.00 gamma=90.00
Element x y z (fractional)
Cl: 0.483 0.603 0.575
Cl: 0.017 0.603 0.425
Cl: 0.983 0.397 0.575
Cl: 0.983 0.897 0.925
Cl: 0.017 0.103 0.075
Cl: 0.517 0.897 0.075
Cl: 0.483 0.103 0.925
Cl: 0.517 0.397 0.425
Ti: 0.373 0.577 0.838
Ti: 0.873 0.923 0.662
Ti: 0.250 0.909 0.500
Ti: 0.750 0.591 0.000
Ti: 0.873 0.423 0.838
Ti: 0.627 0.923 0.338
Ti: 0.127 0.577 0.162
Ti: 0.750 0.091 0.500
Ti: 0.250 0.409 0.000
Ti: 0.627 0.423 0.162
Ti: 0.373 0.077 0.662
Ti: 0.127 0.077 0.338
O: 0.251 0.701 0.779
O: 0.574 0.681 0.919
O: 0.926 0.181 0.419
O: 0.074 0.819 0.581
O: 0.751 0.799 0.721
O: 0.563 0.455 0.924
O: 0.426 0.319 0.081
O: 0.249 0.701 0.221
O: 0.926 0.681 0.081
O: 0.172 0.469 0.763
O: 0.751 0.299 0.779
O: 0.749 0.299 0.221
O: 0.937 0.955 0.424
O: 0.426 0.819 0.419
O: 0.437 0.545 0.076
O: 0.074 0.319 0.919
O: 0.937 0.455 0.076
O: 0.063 0.045 0.576
O: 0.437 0.045 0.424
O: 0.574 0.181 0.581
O: 0.672 0.031 0.737
O: 0.172 0.969 0.737
O: 0.328 0.469 0.237
O: 0.251 0.201 0.721
O: 0.063 0.545 0.924
O: 0.328 0.969 0.263
O: 0.249 0.201 0.279
O: 0.672 0.531 0.763
O: 0.828 0.531 0.237
O: 0.828 0.031 0.263
O: 0.563 0.955 0.576
O: 0.749 0.799 0.279
Pr: 0.022 0.363 0.339
Pr: 0.478 0.363 0.661
Pr: 0.522 0.137 0.161
Pr: 0.022 0.863 0.161
Pr: 0.978 0.137 0.839
Pr: 0.478 0.863 0.839
Pr: 0.522 0.637 0.339
Pr: 0.978 0.637 0.661